Record 1
Below is crystalline Be2Re at its relaxed geometry, with properties calculated at the PBE level.

Symmetry   P6_3/mmc, No. 194
Crystal system   hexagonal
Calculated volume   9.89 Å³/atom
Formation energy from the elements   -0.38 eV per atom

Cell lengths 4.3768, 4.3768, 7.1565 Å; angles 90.00, 90.00, 120.00 degrees
With the nearest neighbours (Å) after each atom.
Fractional positions:
Be: 0.0000 0.0000 0.0000  6 Be 2.20
Be: 0.0000 0.0000 0.5000  6 Be 2.20
Be: 0.1688 0.3377 0.2500  6 Be 2.16-2.22
Be: 0.1688 0.8312 0.2500  6 Be 2.16-2.22
Be: 0.3377 0.1688 0.7500  6 Be 2.16-2.22
Be: 0.6623 0.8312 0.2500  6 Be 2.16-2.22
Be: 0.8312 0.1688 0.7500  6 Be 2.16-2.22
Be: 0.8312 0.6623 0.7500  6 Be 2.16-2.22
Re: 0.3333 0.6667 0.5618  12 Be 2.56-2.57, 4 Re 2.68-2.69
Re: 0.3333 0.6667 0.9382  12 Be 2.56-2.57, 4 Re 2.68-2.69
Re: 0.6667 0.3333 0.0618  12 Be 2.56-2.57, 4 Re 2.68-2.69
Re: 0.6667 0.3333 0.4382  12 Be 2.56-2.57, 4 Re 2.68-2.69


Record 2
Below is crystalline V2ReTc at its relaxed geometry, with properties calculated at the PBE level.

Symmetry   Fm-3m, No. 225
Crystal system   cubic
Calculated volume   13.96 Å³/atom
Formation energy from the elements   -0.36 eV per atom

Cell lengths 4.2905, 4.2905, 4.2905 Å; angles 60.00, 60.00, 60.00 degrees
With the nearest neighbours (Å) after each atom.
Fractional positions:
V: 0.2500 0.2500 0.2500  4 Tc 2.63, 4 Re 2.63
V: 0.7500 0.7500 0.7500  4 Tc 2.63, 4 Re 2.63
Re: 0.0000 0.0000 0.0000  8 V 2.63
Tc: 0.5000 0.5000 0.5000  8 V 2.63


Record 3
Below is crystalline NpF3 at its relaxed geometry, with properties calculated at the PBE level.

Symmetry   P6_3/mmc, No. 194
Crystal system   hexagonal
Calculated volume   13.59 Å³/atom
MP2020-corrected energy   -8.469 eV/atom
Formation energy from the elements   -3.80 eV per atom

Cell lengths 4.1515, 4.1515, 7.2823 Å; angles 90.00, 90.00, 120.00 degrees
With the nearest neighbours (Å) after each atom.
Fractional positions:
Np: 0.3333 0.6667 0.2500  5 F 2.40
Np: 0.6667 0.3333 0.7500  5 F 2.40
F: 0.0000 0.0000 0.2500  3 Np 2.40
F: 0.0000 0.0000 0.7500  3 Np 2.40
F: 0.3333 0.6667 0.5790  1 Np 2.40, 4 F 2.49-2.66
F: 0.3333 0.6667 0.9210  1 Np 2.40, 4 F 2.49-2.66
F: 0.6667 0.3333 0.0790  1 Np 2.40, 4 F 2.49-2.66
F: 0.6667 0.3333 0.4210  1 Np 2.40, 4 F 2.49-2.66


Record 4
Below is crystalline HfMg6Cu at its relaxed geometry, with properties calculated at the PBE level.

Size of the total moment   0.001 μB per formula unit
Calculated volume   20.70 Å³/atom
Energy above the lowest structure with this stoichiometry   14.3 meV per atom
Formation energy from the elements   0.12 eV per atom

Cell lengths 4.9063, 5.9384, 11.3702 Å; angles 90.00, 90.00, 90.00 degrees
With the nearest neighbours (Å) after each atom.
Fractional positions:
Mg: 0.0000 0.7511 0.5818  7 Mg 2.96-3.22, 2 Cu 2.98, 2 Hf 3.08
Mg: 0.0000 0.5000 0.3334  10 Mg 2.98-3.22, 2 Hf 3.00
Mg: 0.5000 0.7515 0.9296  1 Cu 2.93, 8 Mg 2.95-3.18, 2 Hf 3.18-3.23
Mg: 0.5000 0.7485 0.4296  1 Cu 2.93, 8 Mg 2.95-3.18, 2 Hf 3.18-3.23
Mg: 0.5000 0.2515 0.4296  1 Cu 2.93, 8 Mg 2.95-3.18, 2 Hf 3.18-3.23
Mg: 0.0000 0.2511 0.0818  7 Mg 2.96-3.22, 2 Cu 2.98, 2 Hf 3.08
Mg: 0.5000 0.2485 0.9296  1 Cu 2.93, 8 Mg 2.95-3.18, 2 Hf 3.18-3.23
Mg: 0.0000 0.0000 0.8334  10 Mg 2.98-3.22, 2 Hf 3.00
Mg: 0.0000 0.2489 0.5818  7 Mg 2.96-3.22, 2 Cu 2.98, 2 Hf 3.08
Mg: 0.0000 0.7489 0.0818  7 Mg 2.96-3.22, 2 Cu 2.98, 2 Hf 3.08
Mg: 0.0000 0.5000 0.8098  8 Mg 2.98-3.18, 2 Cu 3.04
Mg: 0.0000 0.0000 0.3098  8 Mg 2.98-3.18, 2 Cu 3.04
Cu: 0.5000 0.5000 0.6525  8 Mg 2.93-3.04, 2 Hf 2.99
Cu: 0.5000 0.0000 0.1525  8 Mg 2.93-3.04, 2 Hf 2.99
Hf: 0.5000 0.0000 0.6816  2 Cu 2.99, 10 Mg 3.00-3.23
Hf: 0.5000 0.5000 0.1816  2 Cu 2.99, 10 Mg 3.00-3.23